# Li2V18O39 GGA+U relaxed
data_Li2V18O39
_chemical_formula_sum 'Li4 V36 O78'
_space_group_name_H-M_alt 'C 1 2/m 1'
_space_group_IT_number 12
_cell_length_a 22.2497
_cell_length_b 3.7478
_cell_length_c 17.4794
_cell_angle_alpha 90.00
_cell_angle_beta 104.95
_cell_angle_gamma 90.00
loop_
_space_group_symop_operation_xyz
'x,y,z'
'-x,-y,-z'
'-x,y,-z'
'x,-y,z'
'x+1/2,y+1/2,z'
'-x+1/2,-y+1/2,-z'
'-x+1/2,y+1/2,-z'
'x+1/2,-y+1/2,z'
loop_
_atom_site_label
_atom_site_type_symbol
_atom_site_fract_x
_atom_site_fract_y
_atom_site_fract_z
_atom_site_occupancy
Li1 Li 0.2399 0.0000 0.3404 1
V1 V 0.0226 0.5000 0.6911 1
V2 V 0.0520 0.0000 0.0987 1
V3 V 0.0657 0.5000 0.5275 1
V4 V 0.0890 0.0000 0.8246 1
V5 V 0.1188 0.5000 0.2374 1
V6 V 0.1387 0.0000 0.6549 1
V7 V 0.1916 0.0000 0.0219 1
V8 V 0.2019 0.5000 0.4490 1
V9 V 0.2407 0.0000 0.8482 1
O1 O 0.0000 0.0000 0.0000 1
O2 O 0.0063 0.5000 0.4284 1
O3 O 0.0260 0.0000 0.8605 1
O4 O 0.0460 0.5000 0.2828 1
O5 O 0.0506 0.0000 0.7023 1
O6 O 0.0646 0.5000 0.1245 1
O7 O 0.0785 0.0000 0.5460 1
O8 O 0.0843 0.5000 0.7955 1
O9 O 0.1092 0.0000 0.2116 1
O10 O 0.1122 0.5000 0.6456 1
O11 O 0.1259 0.0000 0.0533 1
O12 O 0.1367 0.5000 0.4802 1
O13 O 0.1542 0.0000 0.9073 1
O14 O 0.1696 0.5000 0.3335 1
O15 O 0.1724 0.0000 0.7699 1
O16 O 0.2008 0.5000 0.1969 1
O17 O 0.2081 0.0000 0.6320 1
O18 O 0.2210 0.5000 0.0330 1
O19 O 0.2296 0.0000 0.4512 1
O20 O 0.2438 0.5000 0.8743 1
# Formation energy (eV per formula unit): -141.96
# M_tot (μB per formula unit): 14.0
# Final energy (eV per atom): -7.5401
# Energy above the lowest structure with this stoichiometry (eV per atom): 0.002

=====

# Li3V4O8 GGA+U relaxed
data_Li3V4O8
_chemical_formula_sum 'Li6 V8 O16'
_space_group_name_H-M_alt 'P -1'
_space_group_IT_number 2
_cell_length_a 5.9256
_cell_length_b 6.0971
_cell_length_c 10.1989
_cell_angle_alpha 73.72
_cell_angle_beta 89.87
_cell_angle_gamma 61.22
loop_
_space_group_symop_operation_xyz
'x,y,z'
'-x,-y,-z'
loop_
_atom_site_label
_atom_site_type_symbol
_atom_site_fract_x
_atom_site_fract_y
_atom_site_fract_z
_atom_site_occupancy
Li1 Li 0.0342 0.4306 0.1814 1
Li2 Li 0.2490 0.9993 0.2504 1
Li3 Li 0.4654 0.5671 0.3182 1
V1 V 0.0000 0.0000 0.0000 1
V2 V 0.0000 0.0000 0.5000 1
V3 V 0.0000 0.5000 0.5000 1
V4 V 0.2510 0.0024 0.7488 1
V5 V 0.5000 0.0000 0.0000 1
V6 V 0.5000 0.0000 0.5000 1
V7 V 0.5000 0.5000 0.0000 1
O1 O 0.1010 0.7608 0.3744 1
O2 O 0.1260 0.7747 0.8722 1
O3 O 0.1355 0.2308 0.3878 1
O4 O 0.1535 0.2024 0.8749 1
O5 O 0.3491 0.7991 0.6247 1
O6 O 0.3672 0.2370 0.6262 1
O7 O 0.3688 0.7636 0.1113 1
O8 O 0.4013 0.2391 0.1277 1
# Formation energy (eV per formula unit): -36.99
# M_tot (μB per formula unit): 5.0
# Final energy (eV per atom): -7.0891
# Energy above the lowest structure with this stoichiometry (eV per atom): 0.001

=====

# Li13V24O52 GGA+U relaxed
data_Li13V24O52
_chemical_formula_sum 'Li13 V24 O52'
_space_group_name_H-M_alt 'P 1'
_space_group_IT_number 1
_cell_length_a 8.5209
_cell_length_b 11.1732
_cell_length_c 11.6869
_cell_angle_alpha 110.13
_cell_angle_beta 103.61
_cell_angle_gamma 97.84
loop_
_space_group_symop_operation_xyz
'x,y,z'
loop_
_atom_site_label
_atom_site_type_symbol
_atom_site_fract_x
_atom_site_fract_y
_atom_site_fract_z
_atom_site_occupancy
Li1 Li 0.0000 0.0000 0.0000 1
Li2 Li 0.0094 0.1756 0.4394 1
Li3 Li 0.1328 0.5889 0.5956 1
Li4 Li 0.2510 0.0018 0.7502 1
Li5 Li 0.2615 0.1755 0.1922 1
Li6 Li 0.3554 0.3976 0.8925 1
Li7 Li 0.3830 0.5889 0.3481 1
Li8 Li 0.5007 0.0000 0.4989 1
Li9 Li 0.5108 0.1724 0.9405 1
Li10 Li 0.6335 0.6071 0.1022 1
Li11 Li 0.7500 0.0012 0.2495 1
Li12 Li 0.7606 0.1753 0.6902 1
Li13 Li 0.8793 0.5882 0.8423 1
V1 V 0.0613 0.5860 0.3542 1
V2 V 0.0622 0.9543 0.2275 1
V3 V 0.0941 0.2184 0.6990 1
V4 V 0.1623 0.9525 0.4860 1
V5 V 0.1961 0.2180 0.9648 1
V6 V 0.2017 0.5913 0.8414 1
V7 V 0.3044 0.5906 0.1053 1
V8 V 0.3110 0.9545 0.9770 1
V9 V 0.3473 0.2252 0.4533 1
V10 V 0.4120 0.9535 0.2381 1
V11 V 0.4500 0.2181 0.7087 1
V12 V 0.4580 0.5903 0.5912 1
V13 V 0.5604 0.5925 0.8516 1
V14 V 0.5603 0.9538 0.7263 1
V15 V 0.5978 0.2250 0.2028 1
V16 V 0.6642 0.9544 0.9888 1
V17 V 0.6998 0.2233 0.4630 1
V18 V 0.7023 0.5900 0.3361 1
V19 V 0.8099 0.9533 0.4754 1
V20 V 0.8127 0.5871 0.5989 1
V21 V 0.8453 0.2237 0.9515 1
V22 V 0.9122 0.9529 0.7373 1
V23 V 0.9502 0.2228 0.2144 1
V24 V 0.9512 0.5876 0.0898 1
O1 O 0.0043 0.7891 0.1609 1
O2 O 0.0062 0.3893 0.2807 1
O3 O 0.0074 0.5867 0.7192 1
O4 O 0.0318 0.9953 0.6170 1
O5 O 0.0449 0.1966 0.0661 1
O6 O 0.0975 0.5889 0.9794 1
O7 O 0.1266 0.7887 0.4336 1
O8 O 0.1280 0.0079 0.8772 1
O9 O 0.1338 0.1723 0.3141 1
O10 O 0.1419 0.3855 0.7624 1
O11 O 0.1566 0.5891 0.2242 1
O12 O 0.2149 0.9813 0.1244 1
O13 O 0.2286 0.1831 0.5724 1
O14 O 0.2534 0.7885 0.9096 1
O15 O 0.2568 0.3877 0.0276 1
O16 O 0.2568 0.5879 0.4711 1
O17 O 0.2818 0.9932 0.3674 1
O18 O 0.2996 0.2001 0.8193 1
O19 O 0.3570 0.5895 0.7357 1
O20 O 0.3740 0.7883 0.1837 1
O21 O 0.3776 0.0078 0.6279 1
O22 O 0.3825 0.1715 0.0638 1
O23 O 0.3864 0.3902 0.5097 1
O24 O 0.4188 0.5834 0.9656 1
O25 O 0.4656 0.9809 0.8744 1
O26 O 0.4801 0.1849 0.3244 1
O27 O 0.5018 0.3868 0.7817 1
O28 O 0.5043 0.7870 0.6586 1
O29 O 0.5047 0.5896 0.2214 1
O30 O 0.5306 0.9929 0.1165 1
O31 O 0.5473 0.1968 0.5663 1
O32 O 0.6067 0.5887 0.4666 1
O33 O 0.6259 0.7892 0.9322 1
O34 O 0.6278 0.0055 0.3769 1
O35 O 0.6322 0.1720 0.8122 1
O36 O 0.6360 0.3893 0.2575 1
O37 O 0.6610 0.5895 0.7145 1
O38 O 0.7149 0.9802 0.6237 1
O39 O 0.7295 0.1837 0.0740 1
O40 O 0.7498 0.5901 0.9665 1
O41 O 0.7556 0.3902 0.5285 1
O42 O 0.7561 0.7870 0.4093 1
O43 O 0.7800 0.9926 0.8655 1
O44 O 0.7955 0.1964 0.3155 1
O45 O 0.8359 0.5880 0.2253 1
O46 O 0.8776 0.7876 0.6808 1
O47 O 0.8785 0.0057 0.1275 1
O48 O 0.8829 0.1725 0.5632 1
O49 O 0.8828 0.3881 0.0069 1
O50 O 0.9246 0.5886 0.4588 1
O51 O 0.9633 0.9807 0.3743 1
O52 O 0.9789 0.1831 0.8236 1
# Formation energy (eV per formula unit): -215.39
# M_tot (μB per formula unit): 29.0
# Final energy (eV per atom): -7.1796

=====

# Li4V9O18 GGA+U relaxed
data_Li4V9O18
_chemical_formula_sum 'Li8 V18 O36'
_space_group_name_H-M_alt 'P b a m'
_space_group_IT_number 55
_cell_length_a 8.8868
_cell_length_b 25.2926
_cell_length_c 2.9978
_cell_angle_alpha 90.00
_cell_angle_beta 90.00
_cell_angle_gamma 90.00
loop_
_space_group_symop_operation_xyz
'x,y,z'
'-x,-y,-z'
'-x,-y,z'
'x,y,-z'
'x+1/2,-y+1/2,-z'
'-x+1/2,y+1/2,z'
'-x+1/2,y+1/2,-z'
'x+1/2,-y+1/2,z'
loop_
_atom_site_label
_atom_site_type_symbol
_atom_site_fract_x
_atom_site_fract_y
_atom_site_fract_z
_atom_site_occupancy
Li1 Li 0.1830 0.0105 0.0000 1
Li2 Li 0.1829 0.7988 0.0000 1
V1 V 0.0000 0.5000 0.0000 1
V2 V 0.0112 0.1028 0.0000 1
V3 V 0.0273 0.6892 0.0000 1
V4 V 0.1369 0.1972 0.5000 1
V5 V 0.1508 0.4137 0.5000 1
O1 O 0.0013 0.4251 0.0000 1
O2 O 0.0481 0.8404 0.5000 1
O3 O 0.0684 0.0588 0.5000 1
O4 O 0.0813 0.2423 0.0000 1
O5 O 0.1023 0.3366 0.5000 1
O6 O 0.1509 0.4948 0.5000 1
O7 O 0.1600 0.7197 0.5000 1
O8 O 0.1906 0.1466 0.0000 1
O9 O 0.1932 0.9154 0.0000 1
# Formation energy (eV per formula unit): -75.47
# M_tot (μB per formula unit): 13.0
# Final energy (eV per atom): -7.2985

=====

# Li4V11O22 GGA+U relaxed
data_Li4V11O22
_chemical_formula_sum 'Li4 V11 O22'
_space_group_name_H-M_alt 'P 1'
_space_group_IT_number 1
_cell_length_a 5.1237
_cell_length_b 9.0175
_cell_length_c 10.1579
_cell_angle_alpha 114.22
_cell_angle_beta 94.50
_cell_angle_gamma 95.29
loop_
_space_group_symop_operation_xyz
'x,y,z'
loop_
_atom_site_label
_atom_site_type_symbol
_atom_site_fract_x
_atom_site_fract_y
_atom_site_fract_z
_atom_site_occupancy
Li1 Li 0.0000 0.0000 0.0000 1
Li2 Li 0.0968 0.3788 0.1890 1
Li3 Li 0.2266 0.7557 0.3757 1
Li4 Li 0.8152 0.2927 0.6510 1
V1 V 0.0076 0.5163 0.5124 1
V2 V 0.0936 0.8848 0.6841 1
V3 V 0.1932 0.2416 0.8702 1
V4 V 0.2753 0.6129 0.0333 1
V5 V 0.3756 0.9743 0.2326 1
V6 V 0.4698 0.3433 0.4145 1
V7 V 0.5501 0.6968 0.6068 1
V8 V 0.6411 0.0584 0.7805 1
V9 V 0.7316 0.4211 0.9694 1
V10 V 0.8179 0.7857 0.1523 1
V11 V 0.9211 0.1429 0.3322 1
O1 O 0.0414 0.4428 0.8671 1
O2 O 0.0504 0.9443 0.3304 1
O3 O 0.1387 0.8150 0.0524 1
O4 O 0.1506 0.3107 0.5036 1
O5 O 0.2178 0.1768 0.2323 1
O6 O 0.2466 0.6808 0.6886 1
O7 O 0.3122 0.0453 0.8726 1
O8 O 0.3351 0.5402 0.4113 1
O9 O 0.3808 0.4047 0.0482 1
O10 O 0.4265 0.8976 0.5968 1
O11 O 0.4911 0.7687 0.2325 1
O12 O 0.5213 0.2521 0.7777 1
O13 O 0.5910 0.6262 0.9666 1
O14 O 0.6154 0.1430 0.4208 1
O15 O 0.6699 0.4889 0.6004 1
O16 O 0.7204 0.9802 0.1413 1
O17 O 0.7731 0.8737 0.7907 1
O18 O 0.7765 0.3503 0.3231 1
O19 O 0.8630 0.7156 0.5111 1
O20 O 0.8778 0.2210 0.9715 1
O21 O 0.9620 0.1017 0.6960 1
O22 O 0.9796 0.5995 0.1526 1
# Formation energy (eV per formula unit): -89.70
# M_tot (μB per formula unit): 15.0
# Final energy (eV per atom): -7.3595

=====

# Li3V6O13 GGA+U relaxed
data_Li3V6O13
_chemical_formula_sum 'Li6 V12 O26'
_space_group_name_H-M_alt 'C 1 m 1'
_space_group_IT_number 8
_cell_length_a 12.0211
_cell_length_b 4.0246
_cell_length_c 10.3115
_cell_angle_alpha 90.00
_cell_angle_beta 100.66
_cell_angle_gamma 90.00
loop_
_space_group_symop_operation_xyz
'x,y,z'
'x,-y,z'
'x+1/2,y+1/2,z'
'x+1/2,-y+1/2,z'
loop_
_atom_site_label
_atom_site_type_symbol
_atom_site_fract_x
_atom_site_fract_y
_atom_site_fract_z
_atom_site_occupancy
Li1 Li 0.0000 0.0000 0.0000 1
Li2 Li 0.0687 0.0000 0.4123 1
Li3 Li 0.4299 0.5000 0.5866 1
V1 V 0.0973 0.5000 0.6329 1
V2 V 0.1564 0.5000 0.9970 1
V3 V 0.2192 0.5000 0.3636 1
V4 V 0.2798 0.0000 0.6359 1
V5 V 0.3375 0.0000 0.0015 1
V6 V 0.4015 0.0000 0.3655 1
O1 O 0.0046 0.5000 0.9991 1
O2 O 0.0688 0.5000 0.4182 1
O3 O 0.1105 0.0000 0.6083 1
O4 O 0.1194 0.5000 0.8004 1
O5 O 0.1723 0.0000 0.9994 1
O6 O 0.1822 0.5000 0.1983 1
O7 O 0.2403 0.0000 0.4031 1
O8 O 0.2587 0.5000 0.5958 1
O9 O 0.3164 0.5000 0.9992 1
O10 O 0.3186 0.0000 0.8017 1
O11 O 0.3818 0.0000 0.1975 1
O12 O 0.3885 0.5000 0.3906 1
O13 O 0.4300 0.0000 0.5811 1
# Formation energy (eV per formula unit): -53.24
# M_tot (μB per formula unit): 7.0
# Final energy (eV per atom): -7.2119
# Energy above the lowest structure with this stoichiometry (eV per atom): 0.000